A plane-wave DFT calculation with PBE was carried out for crystalline ZrCo3 at its relaxed geometry.

Lattice parameters (Å, degrees): 5.366 5.366 4.216 90.00 90.00 120.00
Positions (direct):
Co: 0.151 0.303 0.250
Co: 0.151 0.849 0.250
Co: 0.849 0.697 0.750
Co: 0.697 0.849 0.250
Co: 0.303 0.151 0.750
Co: 0.849 0.151 0.750
Zr: 0.333 0.667 0.750
Zr: 0.667 0.333 0.250

Computed properties:
As for the energy of formation from the pure elements: -0.13 eV per atom.